The following is a GGA+U calculation of a relaxed structure of Li3Mn4B4O12, from the Materials Project database.

Structure (CIF):
```
data_Li3Mn4B4O12
_chemical_formula_sum 'Li9 Mn12 B12 O36'
_cell_length_a 9.085
_cell_length_b 9.109
_cell_length_c 10.421
_cell_angle_alpha 88.18
_cell_angle_beta 88.42
_cell_angle_gamma 60.14
_symmetry_space_group_name_H-M 'P 1'
_symmetry_Int_Tables_number 1
_symmetry_space_group_name_Hall 'P 1'
loop_
_atom_site_label
_atom_site_fract_x
_atom_site_fract_y
_atom_site_fract_z
O1 0.944 0.346 0.415
O2 0.071 0.434 0.664
O3 0.688 0.027 0.080
O4 0.801 0.682 0.665
O5 0.333 0.218 0.874
O6 0.875 0.999 0.392
O7 0.708 0.762 0.142
O8 0.708 0.327 0.556
O9 0.297 0.885 0.338
O10 0.655 0.555 0.906
O11 0.333 0.461 0.143
O12 0.705 0.089 0.657
O13 0.356 0.034 0.560
O14 0.446 0.027 0.181
O15 0.752 0.372 0.179
O16 0.373 0.786 0.659
O17 0.286 0.983 0.909
O18 0.981 0.890 0.885
O19 0.602 0.232 0.339
O20 0.040 0.700 0.576
O21 0.360 0.707 0.085
O22 0.561 0.935 0.836
O23 0.633 0.303 0.906
O24 0.444 0.353 0.636
O25 0.235 0.624 0.834
O26 0.225 0.306 0.384
O27 0.099 0.039 0.638
O28 0.314 0.624 0.403
O29 0.633 0.960 0.407
O30 0.890 0.295 0.827
O31 0.980 0.565 0.312
O32 0.001 0.116 0.115
O33 0.989 0.625 0.931
O34 0.089 0.735 0.151
O35 0.995 0.379 0.084
O36 0.573 0.628 0.359
B1 0.393 0.048 0.873
B2 0.706 0.061 0.378
B3 0.617 0.935 0.135
B4 0.725 0.387 0.879
B5 0.053 0.400 0.369
B6 0.271 0.952 0.618
B7 0.969 0.608 0.634
B8 0.267 0.631 0.125
B9 0.401 0.711 0.366
B10 0.616 0.257 0.616
B11 0.920 0.285 0.128
B12 0.070 0.716 0.881
Mn1 0.716 0.046 0.865
Mn2 0.297 0.613 0.613
Mn3 0.936 0.305 0.621
Mn4 0.073 0.367 0.877
Mn5 0.259 0.966 0.120
Mn6 0.981 0.594 0.122
Mn7 0.610 0.916 0.623
Mn8 0.383 0.042 0.367
Mn9 0.399 0.723 0.868
Mn10 0.053 0.753 0.368
Mn11 0.580 0.284 0.111
Mn12 0.724 0.361 0.370
Li1 0.746 0.696 0.849
Li2 0.359 0.405 0.329
Li3 0.614 0.611 0.110
Li4 0.723 0.714 0.332
Li5 0.937 0.966 0.582
Li6 0.401 0.378 0.830
Li7 0.283 0.284 0.581
Li8 0.934 0.955 0.078
Li9 0.060 0.045 0.831
```

Output
**Symmetry**: P1
**Calculated formation energy**: -2469.5 meV/atom
**Final energy**: -7.4065 eV/atom



The following is a GGA+U calculation of a relaxed structure of Li2Ni2S3O12, from the Materials Project database.

Structure (CIF):
```
data_Li2Ni2S3O12
_chemical_formula_sum 'Li4 Ni4 S6 O24'
_cell_length_a 7.753
_cell_length_b 7.753
_cell_length_c 8.747
_cell_angle_alpha 68.45
_cell_angle_beta 68.45
_cell_angle_gamma 66.79
_symmetry_space_group_name_H-M 'P 1'
_symmetry_Int_Tables_number 1
_symmetry_space_group_name_Hall 'P 1'
loop_
_atom_site_label
_atom_site_fract_x
_atom_site_fract_y
_atom_site_fract_z
Ni1 0.369 0.875 0.482
Ni2 0.875 0.369 0.982
Ni3 0.631 0.125 0.518
Ni4 0.125 0.631 0.018
S1 0.941 0.059 0.750
S2 0.059 0.941 0.250
S3 0.539 0.750 0.823
S4 0.461 0.250 0.177
S5 0.250 0.461 0.677
S6 0.750 0.539 0.323
O1 0.783 0.097 0.677
O2 0.739 0.611 0.811
O3 0.500 0.877 0.929
O4 0.608 0.350 0.117
O5 0.877 0.500 0.429
O6 0.389 0.261 0.689
O7 0.950 0.870 0.885
O8 0.650 0.392 0.383
O9 0.050 0.130 0.115
O10 0.903 0.217 0.823
O11 0.123 0.500 0.571
O12 0.870 0.950 0.385
O13 0.868 0.544 0.138
O14 0.132 0.456 0.862
O15 0.500 0.123 0.071
O16 0.611 0.739 0.311
O17 0.350 0.608 0.617
O18 0.544 0.868 0.638
O19 0.130 0.050 0.615
O20 0.392 0.650 0.883
O21 0.217 0.903 0.323
O22 0.097 0.783 0.177
O23 0.456 0.132 0.362
O24 0.261 0.389 0.189
Li1 0.327 0.138 0.945
Li2 0.138 0.327 0.445
Li3 0.862 0.673 0.555
Li4 0.673 0.862 0.055
```

Output
**Symmetry**: C2/c
**Calculated formation energy**: -1916.8 meV/atom
**Final energy**: -5.8029 eV/atom



What did the second record say?
The following is a GGA+U calculation of a relaxed structure of Li2Ni2S3O12, from the Materials Project database.

Structure (CIF):
```
data_Li2Ni2S3O12
_chemical_formula_sum 'Li4 Ni4 S6 O24'
_cell_length_a 7.753
_cell_length_b 7.753
_cell_length_c 8.747
_cell_angle_alpha 68.45
_cell_angle_beta 68.45
_cell_angle_gamma 66.79
_symmetry_space_group_name_H-M 'P 1'
_symmetry_Int_Tables_number 1
_symmetry_space_group_name_Hall 'P 1'
loop_
_atom_site_label
_atom_site_fract_x
_atom_site_fract_y
_atom_site_fract_z
Ni1 0.369 0.875 0.482
Ni2 0.875 0.369 0.982
Ni3 0.631 0.125 0.518
Ni4 0.125 0.631 0.018
S1 0.941 0.059 0.750
S2 0.059 0.941 0.250
S3 0.539 0.750 0.823
S4 0.461 0.250 0.177
S5 0.250 0.461 0.677
S6 0.750 0.539 0.323
O1 0.783 0.097 0.677
O2 0.739 0.611 0.811
O3 0.500 0.877 0.929
O4 0.608 0.350 0.117
O5 0.877 0.500 0.429
O6 0.389 0.261 0.689
O7 0.950 0.870 0.885
O8 0.650 0.392 0.383
O9 0.050 0.130 0.115
O10 0.903 0.217 0.823
O11 0.123 0.500 0.571
O12 0.870 0.950 0.385
O13 0.868 0.544 0.138
O14 0.132 0.456 0.862
O15 0.500 0.123 0.071
O16 0.611 0.739 0.311
O17 0.350 0.608 0.617
O18 0.544 0.868 0.638
O19 0.130 0.050 0.615
O20 0.392 0.650 0.883
O21 0.217 0.903 0.323
O22 0.097 0.783 0.177
O23 0.456 0.132 0.362
O24 0.261 0.389 0.189
Li1 0.327 0.138 0.945
Li2 0.138 0.327 0.445
Li3 0.862 0.673 0.555
Li4 0.673 0.862 0.055
```

Output
**Symmetry**: C2/c
**Calculated formation energy**: -1916.8 meV/atom
**Final energy**: -5.8029 eV/atom



The lowest final energy belongs to which entry?
Li3Mn4B4O12